Here is a relaxed structure of CuH5C3NO4 from the Materials Project. Energies are from PBE-GGA.

Unit cell a=9.9814 b=13.2824 c=9.5117 alpha=90.00 beta=101.43 gamma=90.00
Last column: nearest neighbours and their distance in Å.
Space group P2_1/c (No. 14)
Symmetry-distinct sites (fractional):
Cu  0.0024  0.0965  0.2418  3 O 1.97-2.04, 1 N 2.03
Cu  0.3133  0.6521  0.8223  3 O 1.98-2.05, 1 N 2.04
H  0.0340  0.2455  0.8916  1 N 1.02
H  0.0776  0.2222  0.7393  1 N 1.02
H  0.2518  0.1726  0.4829  1 C 1.09
H  0.2717  0.2001  0.9319  1 C 1.10
H  0.2995  0.1996  0.3163  1 C 1.09
H  0.3344  0.0134  0.2002  1 N 1.02
H  0.3907  0.0775  0.7211  1 C 1.09
H  0.4304  0.5358  0.3198  1 C 1.10
H  0.4351  0.0192  0.3583  1 N 1.03
H  0.4973  0.0819  0.8947  1 C 1.09
C  0.0630  0.0297  0.9898  2 O 1.26-1.27
C  0.0665  0.5311  0.0002  2 O 1.26-1.28
C  0.2372  0.2249  0.3922  3 H 1.09-1.10
C  0.2523  0.7295  0.5399  2 O 1.27
C  0.3810  0.7089  0.1052  2 O 1.25-1.29
C  0.4706  0.0378  0.7959  3 H 1.09-1.10
N  0.0914  0.2272  0.3219  2 H 1.02
N  0.4078  0.5256  0.7692  2 H 1.02-1.03
O  0.1071  0.5889  0.1080  1 C 1.28
O  0.1102  0.0944  0.0857  1 C 1.27
O  0.1120  0.0114  0.8801  1 C 1.26
O  0.1254  0.5213  0.8960  1 C 1.26
O  0.2022  0.7427  0.4077  1 C 1.27
O  0.2038  0.6689  0.6206  1 C 1.27
O  0.4204  0.6446  0.0208  1 C 1.29
O  0.4386  0.7247  0.2321  1 C 1.25

Properties
The formation energy from the elements comes out at -0.812 eV per atom. The size of the total moment is 1.0 μB per formula unit.